Sr2Fe3SbP6O24 | PBE with a Hubbard U | relaxed

a b c (Å): 9.1300 9.1300 9.1300
angles (deg): 56.24 56.24 56.24
With the nearest neighbours (Å) after each atom.
Sites, in units of the cell vectors:
P  0.4621  0.7525  0.0341  4 O 1.52-1.61
O  0.7301  0.8692  0.4835  1 P 1.52
O  0.5692  0.2212  0.4347  1 P 1.61
Fe  0.8500  0.8500  0.8500  6 O 1.99-2.07
P  0.5381  0.2490  0.9582  4 O 1.52-1.60
O  0.9872  0.3654  0.2339  1 P 1.52
O  0.7838  0.5649  0.4262  1 P 1.54
O  0.2802  0.9215  0.0701  1 P 1.53
O  0.5208  0.2628  0.1346  1 P 1.60
O  0.9370  0.7177  0.0740  1 P 1.54
Fe  0.6504  0.6504  0.6504  6 O 1.96-2.06
O  0.0191  0.6325  0.7619  1 P 1.53
O  0.2212  0.4347  0.5692  1 P 1.61
Sr  0.0000  0.0000  0.0000  6 O 2.59-2.60
Sr  0.5044  0.5044  0.5044  6 O 2.54-2.67
P  0.2490  0.9582  0.5381  4 O 1.52-1.60
O  0.0701  0.2802  0.9215  1 P 1.53
O  0.4262  0.7838  0.5649  1 P 1.54
O  0.4347  0.5692  0.2212  1 P 1.61
O  0.8692  0.4835  0.7301  1 P 1.52
O  0.2339  0.9872  0.3654  1 P 1.52
O  0.5649  0.4262  0.7838  1 P 1.54
O  0.3654  0.2339  0.9872  1 P 1.52
P  0.7525  0.0341  0.4621  4 O 1.52-1.61
P  0.0341  0.4621  0.7525  4 O 1.52-1.61
O  0.6325  0.7619  0.0191  1 P 1.53
O  0.9215  0.0701  0.2802  1 P 1.53
O  0.0740  0.9370  0.7177  1 P 1.54
Fe  0.1492  0.1492  0.1492  6 O 1.97-2.05
O  0.1346  0.5208  0.2628  1 P 1.60
O  0.2628  0.1346  0.5208  1 P 1.60
O  0.7619  0.0191  0.6325  1 P 1.53
P  0.9582  0.5381  0.2490  4 O 1.52-1.60
O  0.7177  0.0740  0.9370  1 P 1.54
Sb  0.3502  0.3502  0.3502  6 O 1.97-2.02
O  0.4835  0.7301  0.8692  1 P 1.52

Summary:
Its space group is R3 (146). For the energy, the calculation gives -7.069 eV/atom. As for the formation energy: -2599 meV/atom.